# 1
Entry from Materials Project: NaTa2Zn2P3S3O24 after structural relaxation (PBE-GGA).

Cell: 8.736 8.740 22.561 Å, 89.75 89.87 60.12°
Fractional positions:
Na1 0.000 0.000 0.000
Na2 0.017 0.981 0.494
Na3 0.672 0.668 0.659
Ta1 0.331 0.325 0.177
Ta2 0.331 0.332 0.470
Ta3 0.338 0.318 0.683
Ta4 0.669 0.659 0.015
Ta5 0.671 0.657 0.304
Ta6 0.997 0.998 0.850
Zn1 0.009 0.980 0.638
Zn2 0.016 0.973 0.342
Zn3 0.349 0.306 0.970
Zn4 0.664 0.667 0.810
Zn5 0.664 0.669 0.515
Zn6 0.994 0.992 0.140
P1 0.008 0.703 0.242
P2 0.045 0.616 0.576
P3 0.049 0.318 0.072
P4 0.336 0.034 0.576
P5 0.381 0.665 0.412
P6 0.385 0.948 0.907
P7 0.632 0.037 0.074
P8 0.662 0.379 0.908
P9 0.722 0.982 0.740
S1 0.294 0.993 0.242
S2 0.296 0.703 0.741
S3 0.335 0.615 0.074
S4 0.627 0.324 0.576
S5 0.674 0.948 0.410
S6 0.714 0.279 0.243
S7 0.958 0.366 0.410
S8 0.965 0.652 0.909
S9 0.999 0.282 0.741
O1 0.025 0.161 0.085
O2 0.035 0.167 0.795
O3 0.040 0.791 0.577
O4 0.046 0.769 0.299
O5 0.138 0.354 0.415
O6 0.139 0.352 0.130
O7 0.139 0.510 0.919
O8 0.149 0.495 0.631
O9 0.160 0.299 0.019
O10 0.165 0.031 0.580
O11 0.168 0.294 0.735
O12 0.168 0.512 0.230
O13 0.168 0.515 0.520
O14 0.183 0.784 0.795
O15 0.189 0.793 0.084
O16 0.190 0.030 0.296
O17 0.196 0.956 0.899
O18 0.197 0.820 0.403
O19 0.219 0.809 0.688
O20 0.227 0.955 0.189
O21 0.307 0.524 0.734
O22 0.309 0.536 0.022
O23 0.320 0.154 0.520
O24 0.324 0.147 0.233
O25 0.347 0.132 0.917
O26 0.358 0.135 0.631
O27 0.367 0.501 0.129
O28 0.371 0.489 0.418
O29 0.470 0.685 0.465
O30 0.473 0.822 0.963
O31 0.476 0.671 0.748
O32 0.479 0.836 0.253
O33 0.490 0.868 0.852
O34 0.502 0.633 0.355
O35 0.504 0.624 0.069
O36 0.506 0.859 0.574
O37 0.507 0.124 0.416
O38 0.510 0.128 0.131
O39 0.512 0.348 0.919
O40 0.514 0.346 0.629
O41 0.532 0.310 0.233
O42 0.535 0.159 0.732
O43 0.535 0.303 0.521
O44 0.549 0.150 0.020
O45 0.637 0.485 0.572
O46 0.641 0.852 0.066
O47 0.644 0.863 0.356
O48 0.653 0.475 0.851
O49 0.690 0.465 0.254
O50 0.691 0.828 0.749
O51 0.705 0.839 0.462
O52 0.706 0.460 0.964
O53 0.786 0.177 0.297
O54 0.797 0.164 0.578
O55 0.811 0.017 0.796
O56 0.817 0.005 0.082
O57 0.822 0.215 0.190
O58 0.823 0.978 0.401
O59 0.829 0.964 0.685
O60 0.843 0.185 0.901
O61 0.845 0.673 0.256
O62 0.845 0.694 0.962
O63 0.852 0.459 0.749
O64 0.855 0.447 0.463
O65 0.865 0.493 0.066
O66 0.872 0.618 0.571
O67 0.877 0.482 0.356
O68 0.887 0.631 0.855
O69 0.966 0.814 0.187
O70 0.974 0.825 0.902
O71 0.979 0.201 0.688
O72 0.984 0.190 0.400

Computed properties:
Formation enthalpy at 0 K in eV/atom: -2.4213
Total energy in eV/atom: -6.9490

# 2
Entry from Materials Project: Na9Ta4Zn8P9S9O72 after structural relaxation (PBE-GGA).

Cell: 8.800 8.810 22.576 Å, 89.75 89.62 60.10°
Fractional positions:
Na1 0.000 0.000 0.000
Na2 0.001 0.376 0.500
Na3 0.024 0.687 0.421
Na4 0.038 0.660 0.922
Na5 0.357 0.638 0.500
Na6 0.363 0.009 0.255
Na7 0.365 0.005 0.755
Na8 0.680 0.358 0.088
Na9 0.697 0.323 0.589
Ta1 0.029 0.676 0.766
Ta2 0.032 0.671 0.265
Ta3 0.358 0.016 0.606
Ta4 0.367 0.998 0.106
Zn1 0.032 0.680 0.570
Zn2 0.040 0.667 0.069
Zn3 0.356 0.014 0.401
Zn4 0.365 0.000 0.900
Zn5 0.675 0.364 0.934
Zn6 0.695 0.340 0.729
Zn7 0.695 0.341 0.228
Zn8 0.700 0.315 0.435
P1 0.023 0.386 0.664
P2 0.024 0.970 0.163
P3 0.072 0.005 0.498
P4 0.326 0.379 0.164
P5 0.328 0.670 0.663
P6 0.362 0.713 0.998
P7 0.364 0.300 0.498
P8 0.738 0.967 0.664
P9 0.744 0.669 0.164
S1 0.074 0.299 0.999
S2 0.401 0.338 0.832
S3 0.402 0.636 0.333
S4 0.654 0.007 0.998
S5 0.654 0.719 0.499
S6 0.696 0.043 0.331
S7 0.697 0.635 0.832
S8 0.989 0.341 0.333
S9 0.990 0.048 0.833
O1 0.001 0.894 0.106
O2 0.004 0.483 0.606
O3 0.007 0.507 0.324
O4 0.008 0.863 0.825
O5 0.050 0.474 0.006
O6 0.052 0.843 0.506
O7 0.054 0.481 0.718
O8 0.058 0.842 0.218
O9 0.169 0.020 0.837
O10 0.169 0.190 0.336
O11 0.170 0.182 0.053
O12 0.174 0.027 0.554
O13 0.178 0.220 0.945
O14 0.188 0.968 0.444
O15 0.195 0.701 0.006
O16 0.197 0.482 0.505
O17 0.199 0.702 0.718
O18 0.200 0.473 0.220
O19 0.202 0.202 0.661
O20 0.202 0.976 0.159
O21 0.218 0.504 0.824
O22 0.218 0.654 0.324
O23 0.247 0.486 0.109
O24 0.254 0.644 0.607
O25 0.329 0.830 0.944
O26 0.332 0.197 0.159
O27 0.333 0.847 0.660
O28 0.334 0.217 0.444
O29 0.372 0.188 0.838
O30 0.375 0.815 0.337
O31 0.381 0.817 0.055
O32 0.385 0.180 0.555
O33 0.468 0.536 0.389
O34 0.469 0.375 0.886
O35 0.505 0.316 0.779
O36 0.506 0.351 0.175
O37 0.507 0.517 0.675
O38 0.508 0.549 0.281
O39 0.528 0.321 0.498
O40 0.533 0.536 0.998
O41 0.540 0.810 0.553
O42 0.542 0.026 0.053
O43 0.545 0.014 0.337
O44 0.547 0.814 0.837
O45 0.555 0.973 0.660
O46 0.558 0.846 0.159
O47 0.571 0.989 0.946
O48 0.575 0.821 0.445
O49 0.663 0.545 0.498
O50 0.672 0.167 0.998
O51 0.674 0.149 0.279
O52 0.675 0.552 0.779
O53 0.709 0.148 0.675
O54 0.710 0.519 0.174
O55 0.733 0.530 0.886
O56 0.734 0.109 0.386
O57 0.829 0.850 0.004
O58 0.831 0.844 0.720
O59 0.832 0.693 0.505
O60 0.833 0.701 0.220
O61 0.844 0.886 0.609
O62 0.847 0.648 0.108
O63 0.862 0.861 0.323
O64 0.863 0.652 0.824
O65 0.873 0.355 0.675
O66 0.874 0.151 0.175
O67 0.889 0.114 0.889
O68 0.889 0.374 0.388
O69 0.899 0.182 0.498
O70 0.902 0.323 0.281
O71 0.903 0.153 0.781
O72 0.905 0.298 0.998

Computed properties:
Formation enthalpy at 0 K in eV/atom: -2.3720
Total energy in eV/atom: -6.5355